#w
This record from the Materials Project describes a relaxed MgMn2O4 crystal. The functional is PBE with a Hubbard U.

Geometry as POSCAR:
```
MgMn2O4
1.0
6.046 0.000 0.000
-3.015 5.244 0.000
-2.848 -1.829 9.884
Mg Mn O
4 8 16
Cartesian
0.000 0.000 0.000
-2.907 1.694 4.949
-1.276 0.719 8.033
-1.313 4.304 3.085
-1.511 2.630 0.006
-4.424 4.324 4.944
-1.449 0.883 2.477
3.009 0.009 0.010
0.107 1.688 4.940
1.532 -0.901 6.812
1.454 2.695 1.868
1.637 2.529 7.428
-3.170 3.380 6.153
-0.230 1.723 1.160
-2.961 1.520 8.745
-1.274 -1.183 8.678
-1.426 4.318 1.049
-1.309 0.781 5.991
-1.322 2.392 3.765
0.169 0.114 3.796
0.060 3.254 6.086
1.536 1.029 6.117
1.596 -0.892 8.870
1.524 2.606 3.949
1.443 4.645 1.204
3.167 1.890 1.136
0.372 1.683 8.716
3.355 0.004 3.738
```

crystal system	triclinic

---

#x
This record from the Materials Project describes a relaxed MgMn2O4 crystal. The functional is PBE with a Hubbard U.

Geometry as POSCAR:
```
MgMn2O4
1.0
3.039 1.754 4.930
-3.039 1.754 4.930
0.000 -3.509 4.930
Mg Mn O
2 4 8
Cartesian
0.000 0.000 0.000
0.000 0.000 5.651
0.000 -1.764 8.125
-1.528 0.882 8.125
0.000 0.000 11.289
1.528 0.882 8.125
0.000 0.000 2.005
0.000 -1.592 4.280
-1.379 0.796 4.280
-1.360 -0.785 7.051
1.379 0.796 4.280
1.360 -0.785 7.051
0.000 1.571 7.051
0.000 0.000 9.276
```

crystal system	trigonal

---

Most stable structure - #w; separation to the second - 14 meV per atom.

---

#w
This record from the Materials Project describes a relaxed V4O9 crystal. The functional is PBE with a Hubbard U.

Geometry as POSCAR:
```
V4O9
1.0
8.493 0.000 0.000
0.000 8.493 0.000
0.000 0.000 5.021
V O
8 18
Cartesian
0.270 5.578 0.584
1.332 8.222 4.437
2.914 4.517 4.437
3.976 7.161 0.584
4.517 1.332 4.437
5.578 3.976 0.584
7.161 0.270 0.584
8.222 2.914 4.437
0.121 5.688 2.179
0.315 1.220 0.067
1.220 3.931 0.067
1.442 8.372 2.843
2.123 6.370 0.000
2.805 4.367 2.843
3.026 0.315 0.067
3.931 3.026 0.067
4.126 7.051 2.179
4.367 1.442 2.843
4.562 5.467 4.955
5.467 8.178 4.955
5.688 4.126 2.179
6.370 2.123 0.000
7.051 0.121 2.179
7.273 4.562 4.955
8.178 7.273 4.955
8.372 2.805 2.843
```

crystal system	tetragonal

---

#x
This record from the Materials Project describes a relaxed V4O9 crystal. The functional is PBE with a Hubbard U.

Geometry as POSCAR:
```
V4O9
1.0
5.399 -4.351 0.000
5.399 4.351 0.000
0.000 0.000 15.163
V O
16 36
Cartesian
5.399 2.805 9.496
5.399 2.805 13.249
5.399 2.683 2.005
5.399 2.683 5.577
3.101 0.029 9.320
3.101 0.029 13.425
3.101 -0.029 1.738
3.101 -0.029 5.844
7.698 0.029 9.320
7.698 0.029 13.425
7.698 -0.029 1.738
7.698 -0.029 5.844
5.399 -2.683 9.587
5.399 -2.683 13.158
5.399 -2.805 1.914
5.399 -2.805 5.668
1.335 0.084 9.591
1.335 0.084 13.154
1.335 -0.084 2.009
1.335 -0.084 5.573
5.399 2.887 11.373
5.399 2.772 3.791
5.399 2.706 7.706
5.399 2.706 15.039
3.925 1.425 9.745
3.925 1.425 13.000
3.977 1.416 2.117
3.977 1.416 5.465
3.177 0.000 0.000
3.177 0.000 7.582
6.821 1.416 2.117
6.821 1.416 5.465
6.874 1.425 9.745
6.874 1.425 13.000
3.925 -1.425 2.163
3.925 -1.425 5.419
3.977 -1.416 9.699
3.977 -1.416 13.046
7.621 0.000 0.000
7.621 0.000 7.582
6.821 -1.416 9.699
6.821 -1.416 13.046
6.874 -1.425 2.163
6.874 -1.425 5.419
5.399 -2.706 0.124
5.399 -2.706 7.458
5.399 -2.772 11.373
5.399 -2.887 3.791
9.463 0.084 9.591
9.463 0.084 13.154
9.463 -0.084 2.009
9.463 -0.084 5.573
```

crystal system	orthorhombic

---

Most stable structure - #x; separation to the second - 44 meV per atom.

---

#w
This record from the Materials Project describes a relaxed Li2MnSiO4 crystal. The functional is PBE with a Hubbard U.

Geometry as POSCAR:
```
Li2MnSiO4
1.0
-0.161 2.928 -4.110
-3.831 -3.216 -2.142
-9.048 7.150 5.448
Li Mn Si O
8 4 4 16
Cartesian
-4.747 3.243 -0.957
-9.271 6.818 1.767
-2.493 1.462 -2.314
-7.017 5.037 0.410
-3.699 -1.095 -0.987
-8.223 2.480 1.736
-5.969 0.699 0.380
-10.494 4.274 3.103
-12.332 6.106 1.363
-7.432 5.003 3.485
-7.810 2.530 -1.361
-2.907 1.427 0.762
-0.695 -0.431 -0.589
-5.220 3.144 2.134
-5.494 0.758 -2.656
-10.018 4.333 0.068
-5.360 5.087 -0.648
-0.836 1.512 -3.372
-5.410 -0.173 -1.293
-9.933 3.402 1.431
-7.944 1.146 0.232
-3.420 -2.429 -2.491
-2.800 3.309 -1.529
-7.325 6.883 1.195
-4.820 2.263 0.792
-9.344 5.838 3.515
-4.013 0.785 -3.394
-8.538 4.360 -0.670
-5.930 2.300 -2.240
-10.454 5.875 0.484
-2.213 0.203 -0.778
-6.737 3.777 1.945
```

maximum piezoelectric response	0.9	C/m²

---

#x
This record from the Materials Project describes a relaxed Li2MnSiO4 crystal. The functional is PBE with a Hubbard U.

Geometry as POSCAR:
```
Li2MnSiO4
1.0
5.136 0.000 0.000
0.000 11.010 0.000
-5.016 0.000 6.375
Li Mn Si O
8 4 4 16
Cartesian
-1.014 0.799 1.509
-3.522 4.706 4.697
-4.041 1.770 6.366
-1.533 3.735 3.179
1.653 7.275 3.196
4.161 9.240 0.009
3.642 6.304 1.678
1.134 10.211 4.866
-3.453 7.319 6.354
-0.945 9.196 3.166
1.065 1.814 3.209
3.573 3.691 0.021
-1.503 0.951 4.797
1.005 4.554 1.610
-0.885 6.456 4.765
1.623 10.059 1.578
-3.158 0.945 4.844
-0.650 4.560 1.657
-1.480 7.234 3.430
1.028 9.281 0.243
-1.046 1.757 3.414
1.462 3.748 0.226
1.037 0.589 1.559
-1.471 4.916 4.747
1.591 6.094 1.628
-0.917 10.421 4.816
-1.342 7.262 6.149
1.166 9.253 2.961
-0.908 1.729 6.132
1.600 3.776 2.945
0.770 6.450 4.718
3.278 10.065 1.531
```

crystal system	monoclinic

---

Most stable structure - #w; separation to the second - 9 meV per atom.